{"formula": "Tb7RhI12", "functional": "r²SCAN", "state": "relaxed", "lattice_angstrom": [[5.8017, -7.8231, 0.0057], [5.8017, 7.8231, 0.0057], [-4.7554, 0.0000, 8.4998]], "species": ["Tb", "Tb", "Tb", "Tb", "Tb", "Tb", "Tb", "Rh", "I", "I", "I", "I", "I", "I", "I", "I", "I", "I", "I", "I"], "fractional_positions": [[0.5000, 0.5000, 0.5000], [0.9052, 0.9773, 0.7034], [0.9773, 0.7034, 0.9052], [0.7034, 0.9052, 0.9773], [0.0948, 0.0227, 0.2966], [0.0227, 0.2966, 0.0948], [0.2966, 0.0948, 0.0227], [0.0000, 0.0000, 0.0000], [0.5337, 0.8389, 0.6120], [0.8389, 0.6120, 0.5337], [0.6120, 0.5337, 0.8389], [0.4663, 0.1611, 0.3880], [0.1611, 0.3880, 0.4663], [0.3880, 0.4663, 0.1611], [0.6759, 0.2275, 0.0718], [0.2275, 0.0718, 0.6759], [0.0718, 0.6759, 0.2275], [0.3241, 0.7725, 0.9282], [0.7725, 0.9282, 0.3241], [0.9282, 0.3241, 0.7725]]}

{"formula": "Tb7RuI12", "functional": "r²SCAN", "state": "relaxed", "lattice_angstrom": [[1.9498, 7.4935, -5.9434], [-5.8804, -6.0699, -4.8842], [-5.1462, 3.5561, 7.4933]], "species": ["Tb", "Tb", "Tb", "Tb", "Tb", "Tb", "Tb", "Ru", "I", "I", "I", "I", "I", "I", "I", "I", "I", "I", "I", "I"], "fractional_positions": [[0.9074, 0.7043, 0.9789], [0.9789, 0.9074, 0.7043], [0.7043, 0.9789, 0.9074], [0.0926, 0.2957, 0.0211], [0.0211, 0.0926, 0.2957], [0.2957, 0.0211, 0.0926], [0.5000, 0.5000, 0.5000], [0.0000, 0.0000, 0.0000], [0.6139, 0.8395, 0.5358], [0.5358, 0.6139, 0.8395], [0.8395, 0.5358, 0.6139], [0.3861, 0.1605, 0.4642], [0.4642, 0.3861, 0.1605], [0.1605, 0.4642, 0.3861], [0.6784, 0.0744, 0.2289], [0.2289, 0.6784, 0.0744], [0.0744, 0.2289, 0.6784], [0.3216, 0.9256, 0.7711], [0.7711, 0.3216, 0.9256], [0.9256, 0.7711, 0.3216]]}

{"formula": "Y3RuI3", "functional": "r²SCAN", "state": "relaxed", "lattice_angstrom": [[-1.2812, 2.9486, -2.7634], [-6.3913, -5.3959, -2.7943], [-6.9490, 5.1267, 8.6921]], "species": ["Y", "Y", "Y", "Y", "Y", "Y", "Ru", "Ru", "I", "I", "I", "I", "I", "I"], "fractional_positions": [[0.7500, 0.8693, 0.1263], [0.2500, 0.1307, 0.8737], [0.7500, 0.8990, 0.6819], [0.2500, 0.1010, 0.3181], [0.2500, 0.7399, 0.8947], [0.7500, 0.2601, 0.1053], [0.7500, 0.9454, 0.9058], [0.2500, 0.0546, 0.0942], [0.2500, 0.6439, 0.6333], [0.7500, 0.3561, 0.3667], [0.7500, 0.8568, 0.3924], [0.2500, 0.1432, 0.6076], [0.2500, 0.5759, 0.1337], [0.7500, 0.4241, 0.8663]]}

{"formula": "SbS24I3", "functional": "r²SCAN", "state": "relaxed", "lattice_angstrom": [[-7.7959, 9.7566, -7.7115], [-1.1454, -14.2437, -3.3525], [4.9697, 3.7892, 13.2808]], "species": ["Sb", "S", "S", "S", "S", "S", "S", "S", "S", "S", "S", "S", "S", "S", "S", "S", "S", "S", "S", "S", "S", "S", "S", "S", "S", "I", "I", "I"], "fractional_positions": [[0.3066, 0.3066, 0.3066], [0.9967, 0.5943, 0.5943], [0.5943, 0.5943, 0.9967], [0.5943, 0.9967, 0.5943], [0.2405, 0.8551, 0.7240], [0.8551, 0.7240, 0.2405], [0.7240, 0.2405, 0.8551], [0.8551, 0.2405, 0.7240], [0.2405, 0.7240, 0.8551], [0.7240, 0.8551, 0.2405], [0.0927, 0.6240, 0.4368], [0.6240, 0.4368, 0.0927], [0.4368, 0.0927, 0.6240], [0.6240, 0.0927, 0.4368], [0.0927, 0.4368, 0.6240], [0.4368, 0.6240, 0.0927], [0.3688, 0.7560, 0.6236], [0.7560, 0.6236, 0.3688], [0.6236, 0.3688, 0.7560], [0.7560, 0.3688, 0.6236], [0.3688, 0.6236, 0.7560], [0.6236, 0.7560, 0.3688], [0.1822, 0.4585, 0.4585], [0.4585, 0.4585, 0.1822], [0.4585, 0.1822, 0.4585], [0.1139, 0.9496, 0.9496], [0.9496, 0.9496, 0.1139], [0.9496, 0.1139, 0.9496]]}

{"formula": "SmSI", "functional": "r²SCAN", "state": "relaxed", "lattice_angstrom": [[-1.5027, 0.6866, 11.3812], [-3.8015, -3.1474, 10.3877], [0.7352, -3.2900, 10.9953]], "species": ["Sm", "Sm", "S", "S", "I", "I"], "fractional_positions": [[0.3867, 0.3867, 0.3867], [0.6133, 0.6133, 0.6133], [0.3024, 0.3024, 0.3024], [0.6976, 0.6976, 0.6976], [0.1131, 0.1131, 0.1131], [0.8869, 0.8869, 0.8869]]}

{"formula": "SeI2", "functional": "r²SCAN", "state": "relaxed", "lattice_angstrom": [[8.2849, 0.0000, 0.0000], [0.0000, 8.2849, 0.0000], [0.0000, 0.0000, 3.9206]], "species": ["Se", "Se", "I", "I", "I", "I"], "fractional_positions": [[0.0000, 0.0000, 0.0000], [0.5000, 0.5000, 0.5000], [0.3282, 0.3282, 0.0000], [0.6718, 0.6718, 0.0000], [0.1718, 0.8282, 0.5000], [0.8282, 0.1718, 0.5000]]}

{"formula": "Ta3Se12I", "functional": "r²SCAN", "state": "relaxed", "lattice_angstrom": [[-4.2388, -7.5391, -4.3993], [-0.9928, -4.4425, 8.5696], [-17.1794, 8.3073, 2.3163]], "species": ["Ta", "Ta", "Ta", "Ta", "Ta", "Ta", "Ta", "Ta", "Ta", "Ta", "Ta", "Ta", "Se", "Se", "Se", "Se", "Se", "Se", "Se", "Se", "Se", "Se", "Se", "Se", "Se", "Se", "Se", "Se", "Se", "Se", "Se", "Se", "Se", "Se", "Se", "Se", "Se", "Se", "Se", "Se", "Se", "Se", "Se", "Se", "Se", "Se", "Se", "Se", "Se", "Se", "Se", "Se", "Se", "Se", "Se", "Se", "Se", "Se", "Se", "Se", "I", "I", "I", "I"], "fractional_positions": [[0.0000, 0.5000, 0.0795], [0.0000, 0.5000, 0.9205], [0.5000, 0.0000, 0.0795], [0.5000, 0.0000, 0.4205], [0.5000, 0.0000, 0.9205], [0.5000, 0.0000, 0.5795], [0.0000, 0.5000, 0.4205], [0.0000, 0.5000, 0.5795], [0.0000, 0.5000, 0.2500], [0.0000, 0.5000, 0.7500], [0.5000, 0.0000, 0.2500], [0.5000, 0.0000, 0.7500], [0.2202, 0.4813, 0.0000], [0.7798, 0.5187, 0.0000], [0.5187, 0.2202, 0.0000], [0.2798, 0.9813, 0.5000], [0.4813, 0.7798, 0.0000], [0.7202, 0.0187, 0.5000], [0.9813, 0.7202, 0.5000], [0.0187, 0.2798, 0.5000], [0.2899, 0.0479, 0.3280], [0.7101, 0.9521, 0.6720], [0.7101, 0.9521, 0.3280], [0.9521, 0.2899, 0.3280], [0.2101, 0.5479, 0.1720], [0.2899, 0.0479, 0.6720], [0.0479, 0.7101, 0.6720], [0.7899, 0.4521, 0.8280], [0.0479, 0.7101, 0.3280], [0.7899, 0.4521, 0.1720], [0.9521, 0.2899, 0.6720], [0.2101, 0.5479, 0.8280], [0.5479, 0.7899, 0.1720], [0.4521, 0.2101, 0.8280], [0.4521, 0.2101, 0.1720], [0.5479, 0.7899, 0.8280], [0.1237, 0.3181, 0.1601], [0.8763, 0.6819, 0.8399], [0.8763, 0.6819, 0.1601], [0.6819, 0.1237, 0.1601], [0.3763, 0.8181, 0.3399], [0.1237, 0.3181, 0.8399], [0.3181, 0.8763, 0.8399], [0.6237, 0.1819, 0.6601], [0.3181, 0.8763, 0.1601], [0.6237, 0.1819, 0.3399], [0.6819, 0.1237, 0.8399], [0.3763, 0.8181, 0.6601], [0.8181, 0.6237, 0.3399], [0.1819, 0.3763, 0.6601], [0.1819, 0.3763, 0.3399], [0.8181, 0.6237, 0.6601], [0.3042, 0.1063, 0.0000], [0.6958, 0.8937, 0.0000], [0.8937, 0.3042, 0.0000], [0.1958, 0.6063, 0.5000], [0.1063, 0.6958, 0.0000], [0.8042, 0.3937, 0.5000], [0.6063, 0.8042, 0.5000], [0.3937, 0.1958, 0.5000], [0.0000, 0.0000, 0.1317], [0.0000, 0.0000, 0.8683], [0.5000, 0.5000, 0.3683], [0.5000, 0.5000, 0.6317]]}

{"formula": "Tl5Se2I", "functional": "r²SCAN", "state": "relaxed", "lattice_angstrom": [[-3.6542, -5.1296, -6.1139], [3.7745, 4.8139, -6.2949], [5.4766, -3.9757, 6.3632]], "species": ["Tl", "Tl", "Tl", "Tl", "Tl", "Tl", "Tl", "Tl", "Tl", "Tl", "Se", "Se", "Se", "Se", "I", "I"], "fractional_positions": [[0.9932, 0.7811, 0.2743], [0.7811, 0.2811, 0.2743], [0.4932, 0.9932, 0.2743], [0.2189, 0.7189, 0.7257], [0.2811, 0.4932, 0.2743], [0.0068, 0.2189, 0.7257], [0.7189, 0.5068, 0.7257], [0.5068, 0.0068, 0.7257], [0.5000, 0.5000, 0.0000], [0.0000, 0.0000, 0.0000], [0.8375, 0.3375, 0.0000], [0.6625, 0.8375, 0.0000], [0.3375, 0.1625, 0.0000], [0.1625, 0.6625, 0.0000], [0.7500, 0.7500, 0.5000], [0.2500, 0.2500, 0.5000]]}

{"formula": "SiI3", "functional": "r²SCAN", "state": "relaxed", "lattice_angstrom": [[-3.1667, 5.9044, -3.0661], [-6.7107, -0.5551, -2.9915], [-6.4434, 3.5897, 4.7141]], "species": ["Si", "Si", "I", "I", "I", "I", "I", "I"], "fractional_positions": [[0.0512, 0.0512, 0.8465], [0.9488, 0.9488, 0.1535], [0.0923, 0.7642, 0.7480], [0.7642, 0.3956, 0.7480], [0.3956, 0.0923, 0.7480], [0.9077, 0.2358, 0.2520], [0.2358, 0.6044, 0.2520], [0.6044, 0.9077, 0.2520]]}

{"formula": "SiI3", "functional": "r²SCAN", "state": "relaxed", "lattice_angstrom": [[-5.5644, -3.7159, -4.5472], [9.2440, -4.4981, -7.6362], [1.0770, -11.4909, 8.0725]], "species": ["Si", "Si", "Si", "Si", "Si", "Si", "Si", "Si", "I", "I", "I", "I", "I", "I", "I", "I", "I", "I", "I", "I", "I", "I", "I", "I", "I", "I", "I", "I", "I", "I", "I", "I"], "fractional_positions": [[0.2754, 0.7500, 0.3952], [0.7754, 0.2500, 0.1048], [0.7246, 0.2500, 0.6048], [0.2246, 0.7500, 0.8952], [0.5557, 0.7500, 0.3519], [0.0557, 0.2500, 0.1481], [0.4443, 0.2500, 0.6481], [0.9443, 0.7500, 0.8519], [0.2760, 0.5922, 0.9882], [0.7760, 0.4078, 0.5118], [0.7240, 0.0922, 0.0118], [0.2240, 0.9078, 0.4882], [0.7240, 0.4078, 0.0118], [0.2240, 0.5922, 0.4882], [0.2760, 0.9078, 0.9882], [0.7760, 0.0922, 0.5118], [0.7817, 0.7500, 0.9984], [0.2817, 0.2500, 0.5016], [0.2183, 0.2500, 0.0016], [0.7183, 0.7500, 0.4984], [0.3923, 0.7500, 0.7513], [0.8923, 0.2500, 0.7487], [0.6077, 0.2500, 0.2487], [0.1077, 0.7500, 0.2513], [0.3869, 0.0933, 0.7416], [0.8869, 0.9067, 0.7584], [0.6131, 0.5933, 0.2584], [0.1131, 0.4067, 0.2416], [0.6131, 0.9067, 0.2584], [0.1131, 0.0933, 0.2416], [0.3869, 0.4067, 0.7416], [0.8869, 0.5933, 0.7584]]}

{"formula": "Zr6SiI14", "functional": "r²SCAN", "state": "relaxed", "lattice_angstrom": [[7.2963, -8.1018, -0.0007], [7.2969, 8.1023, -0.0003], [-0.0009, 0.0003, 13.1673]], "species": ["Zr", "Zr", "Zr", "Zr", "Zr", "Zr", "Zr", "Zr", "Zr", "Zr", "Zr", "Zr", "Si", "Si", "I", "I", "I", "I", "I", "I", "I", "I", "I", "I", "I", "I", "I", "I", "I", "I", "I", "I", "I", "I", "I", "I", "I", "I", "I", "I", "I", "I"], "fractional_positions": [[0.9548, 0.1798, 0.1150], [0.0451, 0.8202, 0.8850], [0.5452, 0.3202, 0.6149], [0.6798, 0.4547, 0.3850], [0.4548, 0.6797, 0.3850], [0.3203, 0.5452, 0.6150], [0.8202, 0.0453, 0.8850], [0.1797, 0.9548, 0.1150], [0.3564, 0.3564, 0.3956], [0.6436, 0.6436, 0.6043], [0.1436, 0.1436, 0.8957], [0.8564, 0.8564, 0.1043], [0.0000, 0.0000, 0.0000], [0.5000, 0.5000, 0.5000], [0.2864, 0.5350, 0.2504], [0.7136, 0.4650, 0.7495], [0.2135, 0.9650, 0.7505], [0.0349, 0.7865, 0.2496], [0.7864, 0.0350, 0.2495], [0.9650, 0.2136, 0.7504], [0.4652, 0.7135, 0.7497], [0.5348, 0.2865, 0.2504], [0.1170, 0.3665, 0.0090], [0.8830, 0.6335, 0.9910], [0.3830, 0.1335, 0.5090], [0.8665, 0.6170, 0.4910], [0.6169, 0.8665, 0.4910], [0.1335, 0.3831, 0.5090], [0.6335, 0.8831, 0.9910], [0.3666, 0.1169, 0.0090], [0.9028, 0.4029, 0.2501], [0.0972, 0.5971, 0.7501], [0.5972, 0.0971, 0.7499], [0.4027, 0.9027, 0.2499], [0.7491, 0.2511, 0.9999], [0.2509, 0.7491, 0.0000], [0.7511, 0.2489, 0.5000], [0.2493, 0.7512, 0.5001], [0.1552, 0.1552, 0.2654], [0.8448, 0.8449, 0.7345], [0.3448, 0.3448, 0.7655], [0.6553, 0.6553, 0.2347]]}

{"formula": "Sr2TlI5", "functional": "r²SCAN", "state": "relaxed", "lattice_angstrom": [[9.0771, 0.0000, 0.0000], [0.0000, 9.9776, 0.0085], [0.0000, 0.0226, 14.4245]], "species": ["Sr", "Sr", "Sr", "Sr", "Sr", "Sr", "Sr", "Sr", "Tl", "Tl", "Tl", "Tl", "I", "I", "I", "I", "I", "I", "I", "I", "I", "I", "I", "I", "I", "I", "I", "I", "I", "I", "I", "I"], "fractional_positions": [[0.0244, 0.0016, 0.3206], [0.9756, 0.9984, 0.6794], [0.5244, 0.9984, 0.1794], [0.4756, 0.0016, 0.8206], [0.0780, 0.2502, 0.0053], [0.9220, 0.7498, 0.9947], [0.5780, 0.7498, 0.4947], [0.4220, 0.2502, 0.5053], [0.0173, 0.4913, 0.3209], [0.9827, 0.5087, 0.6791], [0.5173, 0.5087, 0.1791], [0.4827, 0.4913, 0.8209], [0.1649, 0.5390, 0.0934], [0.8351, 0.4610, 0.9066], [0.6649, 0.4610, 0.4066], [0.3351, 0.5390, 0.5934], [0.8369, 0.2274, 0.1834], [0.1631, 0.7726, 0.8166], [0.3369, 0.7726, 0.3166], [0.6631, 0.2274, 0.6834], [0.3068, 0.2321, 0.2822], [0.6932, 0.7679, 0.7178], [0.8068, 0.7679, 0.2178], [0.1932, 0.2321, 0.7822], [0.4609, 0.2239, 0.0020], [0.5391, 0.7761, 0.9980], [0.9609, 0.7761, 0.4980], [0.0391, 0.2239, 0.5020], [0.6618, 0.0426, 0.4014], [0.3382, 0.9574, 0.5986], [0.1618, 0.9574, 0.0986], [0.8382, 0.0426, 0.9014]]}

The evaluated electronic total energy for the records listed, in turn: -28.346 -28.372 -24.012 -10.488 -22.854 -21.040 -21.974 -40.417 -21.037 -21.037 -24.453 -27.428 eV/atom.
The evaluated formation energy from the elements for the records listed, in turn: -29.503 -28.735 -8.042 -1.479 -6.236 0.308 -9.517 -4.260 -1.698 -1.697 -24.412 -13.162 eV/f.u..